Li3V3P8O29: optimized geometry, PBE with a Hubbard U.

Unit cell a=9.7397 b=9.7507 c=14.4084 alpha=89.56 beta=88.98 gamma=60.41
Space group P1 (No. 1)
Inequivalent atoms, fractional coordinates:
Li 0.0000 0.0000 0.0000 [1 per cell]
Li 0.0169 0.8543 0.5125 [1 per cell]
Li 0.0979 0.0822 0.3983 [1 per cell]
Li 0.2333 0.0967 0.8873 [1 per cell]
Li 0.3970 0.6906 0.9343 [1 per cell]
Li 0.6207 0.6947 0.3916 [1 per cell]
V 0.3202 0.3441 0.1982 [1 per cell]
V 0.3218 0.2138 0.6943 [1 per cell]
V 0.7500 0.3486 0.6998 [1 per cell]
V 0.7527 0.7826 0.1932 [1 per cell]
V 0.8805 0.2145 0.1967 [1 per cell]
V 0.8872 0.7678 0.7075 [1 per cell]
P 0.0018 0.0060 0.7883 [1 per cell]
P 0.0918 0.0967 0.6102 [1 per cell]
P 0.1018 0.6930 0.1148 [1 per cell]
P 0.2325 0.0933 0.1032 [1 per cell]
P 0.2340 0.5525 0.6058 [1 per cell]
P 0.3992 0.4723 0.7873 [1 per cell]
P 0.4036 0.0021 0.2821 [1 per cell]
P 0.5345 0.8623 0.7859 [1 per cell]
P 0.5438 0.4626 0.2886 [1 per cell]
P 0.6284 0.5529 0.1080 [1 per cell]
P 0.6387 0.6885 0.6066 [1 per cell]
P 0.6547 0.1114 0.0807 [1 per cell]
P 0.6649 0.1040 0.5838 [1 per cell]
P 0.9829 0.4451 0.3134 [1 per cell]
P 0.9886 0.4343 0.8170 [1 per cell]
P 0.9963 0.8695 0.2937 [1 per cell]
O 0.0574 0.8018 0.3860 [1 per cell]
O 0.0611 0.1183 0.1137 [1 per cell]
O 0.0610 0.6941 0.6160 [1 per cell]
O 0.0864 0.0155 0.5234 [1 per cell]
O 0.0884 0.0027 0.8745 [1 per cell]
O 0.1123 0.7852 0.0353 [1 per cell]
O 0.1115 0.9840 0.6979 [1 per cell]
O 0.1182 0.7654 0.2122 [1 per cell]
O 0.1352 0.2837 0.7746 [1 per cell]
O 0.1350 0.4382 0.2690 [1 per cell]
O 0.2271 0.3965 0.6267 [1 per cell]
O 0.2321 0.2498 0.1221 [1 per cell]
O 0.2372 0.5202 0.1168 [1 per cell]
O 0.2386 0.1186 0.6148 [1 per cell]
O 0.2995 0.0204 0.0114 [1 per cell]
O 0.3084 0.0047 0.3642 [1 per cell]
O 0.3123 0.5522 0.5178 [1 per cell]
O 0.3190 0.5735 0.6955 [1 per cell]
O 0.3242 0.5685 0.8713 [1 per cell]
O 0.3299 0.9777 0.1871 [1 per cell]
O 0.3932 0.3169 0.7766 [1 per cell]
O 0.4024 0.0387 0.7833 [1 per cell]
O 0.4024 0.4323 0.2825 [1 per cell]
O 0.4116 0.1562 0.2679 [1 per cell]
O 0.5080 0.1170 0.6289 [1 per cell]
O 0.5087 0.2586 0.1239 [1 per cell]
O 0.5089 0.7807 0.8657 [1 per cell]
O 0.5173 0.7917 0.6883 [1 per cell]
O 0.5221 0.5700 0.1981 [1 per cell]
O 0.5403 0.5677 0.0234 [1 per cell]
O 0.5549 0.5429 0.3719 [1 per cell]
O 0.5740 0.8581 0.2835 [1 per cell]
O 0.5758 0.4304 0.7778 [1 per cell]
O 0.5784 0.7598 0.5150 [1 per cell]
O 0.6486 0.9636 0.1248 [1 per cell]
O 0.6605 0.5205 0.6188 [1 per cell]
O 0.6682 0.1023 0.9780 [1 per cell]
O 0.6687 0.1011 0.4811 [1 per cell]
O 0.6685 0.2492 0.6275 [1 per cell]
O 0.6698 0.6871 0.1203 [1 per cell]
O 0.6971 0.3005 0.2679 [1 per cell]
O 0.6997 0.8533 0.7795 [1 per cell]
O 0.7843 0.3925 0.1197 [1 per cell]
O 0.7984 0.6786 0.6320 [1 per cell]
O 0.8056 0.9528 0.6273 [1 per cell]
O 0.8092 0.1013 0.1228 [1 per cell]
O 0.8380 0.4439 0.7720 [1 per cell]
O 0.8381 0.5982 0.2764 [1 per cell]
O 0.8382 0.8770 0.2685 [1 per cell]
O 0.8468 0.1618 0.7764 [1 per cell]
O 0.9396 0.6951 0.1227 [1 per cell]
O 0.9409 0.2557 0.6265 [1 per cell]
O 0.9726 0.8635 0.7838 [1 per cell]
O 0.9784 0.0374 0.2832 [1 per cell]
O 0.9778 0.3000 0.2658 [1 per cell]
O 0.9868 0.4260 0.4156 [1 per cell]
O 0.9891 0.4298 0.9198 [1 per cell]
O 0.9929 0.5845 0.7749 [1 per cell]

Output
DFT formation energy ... -2.52 eV per atom


V3O5F3: optimized geometry, PBE with a Hubbard U.

Unit cell a=9.1420 b=11.4140 c=5.0007 alpha=90.00 beta=90.42 gamma=90.00
Space group Cc (No. 9)
Inequivalent atoms, fractional coordinates:
V 0.0000 0.0687 0.0000 [4 per cell]
V 0.0010 0.4061 0.5135 [4 per cell]
V 0.2545 0.1689 0.5025 [4 per cell]
O 0.1270 0.0657 0.6449 [4 per cell]
O 0.1288 0.3052 0.6033 [4 per cell]
O 0.3782 0.1706 0.8177 [4 per cell]
O 0.3921 0.0728 0.3217 [4 per cell]
O 0.3998 0.4528 0.7812 [4 per cell]
F 0.1083 0.4587 0.1970 [4 per cell]
F 0.1428 0.1794 0.1572 [4 per cell]
F 0.3819 0.3029 0.3598 [4 per cell]

Output
DFT formation energy ... -2.57 eV per atom


SrMgCrP2O8: optimized geometry, PBE with a Hubbard U.

Unit cell a=5.6595 b=6.8478 c=9.3750 alpha=109.70 beta=102.23 gamma=98.62
Space group P-1 (No. 2)
Inequivalent atoms, fractional coordinates:
Sr 0.2429 0.1975 0.4454 [2 per cell]
Mg 0.4927 0.3920 0.1484 [2 per cell]
Cr 0.1410 0.8436 0.0485 [2 per cell]
P 0.1092 0.5766 0.2648 [2 per cell]
P 0.3377 0.0228 0.7983 [2 per cell]
O 0.1214 0.9289 0.8532 [2 per cell]
O 0.1332 0.4159 0.1048 [2 per cell]
O 0.1533 0.4777 0.7128 [2 per cell]
O 0.1615 0.8023 0.2602 [2 per cell]
O 0.2383 0.9979 0.6272 [2 per cell]
O 0.3205 0.5552 0.3900 [2 per cell]
O 0.4532 0.1079 0.1878 [2 per cell]
O 0.4640 0.2591 0.9143 [2 per cell]

Output
DFT formation energy ... -2.94 eV per atom


| no. | distance to the lowest polymorph of the same formula (eV/atom) | volume (Å³ per cell) | E (eV/atom) |
| --- | --- | --- | --- |
| 1 | 0.009 | 1189.65 | -7.0535 |
| 2 | 0.005 | 521.80 | -6.9135 |
| 3 | 0.000 | 324.49 | -7.2349 |